[1]
GGA-PBE Pd, relaxed; polymorph energy (0 for the lowest one) = 0.000 eV/f.u.; ΔE_f = 0.0 eV per formula unit; E_tot = -5.180 eV per atom; crystal system = cubic; space-group type = Fm-3m, No. 225
1.0
3.9571 0.0000 0.0000
0.0000 3.9571 0.0000
0.0000 0.0000 3.9571
Pd
4
direct
0.0000 0.0000 0.0000 Pd
0.0000 0.5000 0.5000 Pd
0.5000 0.0000 0.5000 Pd
0.5000 0.5000 0.0000 Pd

=====

[2]
GGA-PBE Pd, relaxed; polymorph energy (0 for the lowest one) = 0.045 eV/f.u.; ΔE_f = 0.0 eV per formula unit; E_tot = -5.135 eV per atom; size of the total moment = 0.0 μB per cell; crystal system = cubic; space-group type = Im-3m, No. 229
1.0
3.1446 0.0000 0.0000
0.0000 3.1446 0.0000
0.0000 0.0000 3.1446
Pd
2
direct
0.0000 0.0000 0.0000 Pd
0.5000 0.5000 0.5000 Pd

=====

[3]
GGA-PBE Pd, relaxed; polymorph energy (0 for the lowest one) = 0.023 eV/f.u.; ΔE_f = 0.0 eV per formula unit; E_tot = -5.157 eV per atom; size of the total moment = 0.7 μB per cell; crystal system = hexagonal; space-group type = P6_3/mmc, No. 194
1.0
2.7837 0.0000 0.0000
-1.3918 2.4107 0.0000
0.0000 0.0000 4.6289
Pd
2
direct
0.3333 0.6667 0.2500 Pd
0.6667 0.3333 0.7500 Pd

=====

[4]
GGA-PBE Pd, relaxed; polymorph energy (0 for the lowest one) = 0.007 eV/f.u.; ΔE_f = 0.0 eV per formula unit; E_tot = -5.173 eV per atom; crystal system = hexagonal; space-group type = P6_3/mmc, No. 194
1.0
2.7977 0.0000 0.0000
-1.3988 2.4229 0.0000
0.0000 0.0000 9.1480
Pd
4
direct
0.0000 0.0000 0.0000 Pd
0.0000 0.0000 0.5000 Pd
0.3333 0.6667 0.2500 Pd
0.6667 0.3333 0.7500 Pd

=====

Which formula does entry 4 have? Pd